Run a
Compound: NaTi2O3
Source: the Materials Project database
Functional: PBE-GGA
Structure: optimized geometry

abc: 3.0576 3.0576 7.8013
angles: 90.00 90.00 120.00
Space group P-3m1 (No. 164)
Unique sites:
Na 0.0000 0.0000 0.0000 [1 per cell]
Ti 0.3333 0.6667 0.6481 [2 per cell]
O 0.0000 0.0000 0.5000 [1 per cell]
O 0.3333 0.6667 0.2056 [2 per cell]

Properties
Crystal system = trigonal
Total magnetization = 0.03 μB per formula unit



Run b
Compound: NaTi2O3
Source: the Materials Project database
Functional: PBE-GGA
Structure: optimized geometry

abc: 5.1560 5.1560 10.4792
angles: 90.00 90.00 120.00
Space group P6_3/mcm (No. 193)
Unique sites:
Na 0.3333 0.6667 0.0000 [4 per cell]
Ti 0.0000 0.0000 0.0000 [2 per cell]
Ti 0.0000 0.3333 0.2500 [6 per cell]
O 0.0000 0.3150 0.6273 [12 per cell]

Properties
Crystal system = hexagonal
Total magnetization = 0.01 μB per formula unit



Stability comparison, relative energies in meV per atom: run a 0; run b 24



Run a
Compound: K2OsNCl5
Source: the Materials Project database
Functional: PBE-GGA
Structure: optimized geometry

abc: 9.5647 16.2956 8.1128
angles: 90.00 90.00 90.00
Space group Cmc2_1 (No. 36)
Unique sites:
K 0.0000 0.0666 0.0000 [4 per cell]
K 0.0000 0.3289 0.8432 [4 per cell]
Os 0.0000 0.1743 0.4613 [4 per cell]
N 0.0000 0.1304 0.6469 [4 per cell]
Cl 0.0000 0.2314 0.1664 [4 per cell]
Cl 0.1699 0.2753 0.5091 [8 per cell]
Cl 0.1783 0.0823 0.3522 [8 per cell]

Properties
Crystal system = orthorhombic
Total magnetization = 0.00 μB per formula unit



Run b
Compound: K2OsNCl5
Source: the Materials Project database
Functional: PBE-GGA
Structure: optimized geometry

abc: 13.4360 9.9597 6.9238
angles: 90.00 90.00 90.00
Space group Pnma (No. 62)
Unique sites:
K 0.1454 0.0009 0.1696 [8 per cell]
Os 0.0927 0.7500 0.6702 [4 per cell]
N 0.0033 0.2500 0.4821 [4 per cell]
Cl 0.9997 0.2500 0.0347 [4 per cell]
Cl 0.1063 0.5112 0.6913 [8 per cell]
Cl 0.2198 0.7500 0.4282 [4 per cell]
Cl 0.2480 0.7500 0.9035 [4 per cell]

Properties
Crystal system = orthorhombic
Total magnetization = 0.00 μB per formula unit



Stability comparison, relative energies in meV per atom: run a 68; run b 0



Run a
Compound: NaMg14Sn
Source: the Materials Project database
Functional: PBE-GGA
Structure: optimized geometry

abc: 6.3685 6.3685 10.6733
angles: 90.00 90.00 120.00
Space group P-6m2 (No. 187)
Unique sites:
Na 0.0000 0.0000 0.0000 [1 per cell]
Mg 0.0023 0.5012 0.0000 [3 per cell]
Mg 0.1680 0.3361 0.2505 [6 per cell]
Mg 0.5006 0.0013 0.5000 [3 per cell]
Mg 0.6667 0.3333 0.2477 [2 per cell]
Sn 0.0000 0.0000 0.5000 [1 per cell]

Properties
Crystal system = hexagonal
Total magnetization = 0.00 μB per formula unit



Run b
Compound: NaMg14Sn
Source: the Materials Project database
Functional: PBE-GGA
Structure: optimized geometry

abc: 10.5406 6.3805 11.1289
angles: 90.00 90.00 90.00
Space group Amm2 (No. 38)
Unique sites:
Na 0.0000 0.0000 0.0000 [2 per cell]
Mg 0.0000 0.2484 0.2496 [4 per cell]
Mg 0.2500 0.0000 0.6670 [4 per cell]
Mg 0.2534 0.2486 0.4160 [8 per cell]
Mg 0.2544 0.0000 0.1680 [4 per cell]
Mg 0.5000 0.0000 0.9998 [2 per cell]
Mg 0.5000 0.0000 0.4999 [2 per cell]
Mg 0.5000 0.2505 0.2498 [4 per cell]
Sn 0.0000 0.0000 0.4985 [2 per cell]

Properties
Crystal system = orthorhombic
Total magnetization = 0.00 μB per formula unit



Stability comparison, relative energies in meV per atom: run a 18; run b 0



Run a
Compound: Te4Mo3WSe2S2
Source: the Materials Project database
Functional: PBE-GGA
Structure: optimized geometry

abc: 3.3986 3.3986 40.4052
angles: 90.00 90.00 120.00
Space group P3m1 (No. 156)
Unique sites:
Te 0.0000 0.0000 0.0000 [1 per cell]
Te 0.0000 0.0000 0.0928 [1 per cell]
Te 0.3333 0.6667 0.1907 [1 per cell]
Te 0.3333 0.6667 0.2834 [1 per cell]
Mo 0.0000 0.0000 0.2371 [1 per cell]
Mo 0.0000 0.0000 0.8593 [1 per cell]
Mo 0.3333 0.6667 0.0464 [1 per cell]
W 0.3333 0.6667 0.4234 [1 per cell]
Se 0.3333 0.6667 0.8185 [1 per cell]
Se 0.3333 0.6667 0.9002 [1 per cell]
S 0.0000 0.0000 0.3862 [1 per cell]
S 0.0000 0.0000 0.4606 [1 per cell]

Properties
Crystal system = trigonal
Total magnetization = 0.00 μB per formula unit



Run b
Compound: Te4Mo3WSe2S2
Source: the Materials Project database
Functional: PBE-GGA
Structure: optimized geometry

abc: 3.3998 3.3998 38.6655
angles: 90.00 90.00 120.00
Space group P3m1 (No. 156)
Unique sites:
Te 0.0000 0.0000 0.0000 [1 per cell]
Te 0.0000 0.0000 0.0974 [1 per cell]
Te 0.3333 0.6667 0.4367 [1 per cell]
Te 0.3333 0.6667 0.5335 [1 per cell]
Mo 0.0000 0.0000 0.4851 [1 per cell]
Mo 0.0000 0.0000 0.8608 [1 per cell]
Mo 0.3333 0.6667 0.6729 [1 per cell]
W 0.3333 0.6667 0.0487 [1 per cell]
Se 0.3333 0.6667 0.8182 [1 per cell]
Se 0.3333 0.6667 0.9034 [1 per cell]
S 0.0000 0.0000 0.6341 [1 per cell]
S 0.0000 0.0000 0.7118 [1 per cell]

Properties
Crystal system = trigonal
Total magnetization = 0.01 μB per formula unit



Stability comparison, relative energies in meV per atom: run a 0; run b 36